{
  "formula": "ScAl3C3",
  "functional": "meta-GGA r2SCAN",
  "state": "optimized geometry",
  "mass_density_g_cm3": 3.32,
  "e_form_ev_per_atom": -0.5010,
  "cell": [[-0.868, 2.860, 1.502], [-1.210, -2.911, 1.119], [13.069, -1.459, 10.331]],
  "species": ["Sc", "Sc", "Al", "Al", "Al", "Al", "Al", "Al", "C", "C", "C", "C", "C", "C"],
  "frac_coords": [[0.000, 0.000, 0.001], [0.000, 0.000, 0.501], [0.333, 0.667, 0.371], [0.667, 0.333, 0.630], [0.667, 0.333, 0.871], [0.333, 0.667, 0.751], [0.333, 0.667, 0.130], [0.667, 0.333, 0.251], [0.333, 0.667, 0.251], [0.667, 0.333, 0.751], [0.667, 0.333, 0.413], [0.333, 0.667, 0.913], [0.667, 0.333, 0.088], [0.333, 0.667, 0.588]]
}